# Fe23C6, optimized geometry, DFT PBE
# ΔE_f   0.05 eV per atom
data_Fe23C6
_chemical_formula_sum 'Fe92 C24'
_cell_length_a 10.4455
_cell_length_b 10.4455
_cell_length_c 10.4455
_cell_angle_alpha 90.00
_cell_angle_beta 90.00
_cell_angle_gamma 90.00
_symmetry_space_group_name_H-M 'F m -3 m'
_symmetry_Int_Tables_number 225
_symmetry_space_group_name_Hall '-F 4 2 3'
loop_
_atom_site_label
_atom_site_type_symbol
_atom_site_fract_x
_atom_site_fract_y
_atom_site_fract_z
Fe1 Fe 0.0000 0.0000 0.0000
Fe2 Fe 0.0000 0.1692 0.1692
Fe3 Fe 0.1163 0.1163 0.3837
Fe4 Fe 0.2500 0.2500 0.2500
C1 C 0.0000 0.0000 0.2774